Entry 1:
Density functional theory data (PBE) for a relaxed Cs3InO3 crystal.

Properties
Total energy after the MP2020 corrections = -0.16612 Ha/atom
Formation energy from the elements = -1.62 eV per atom

Structure (CIF):
```
data_Cs3InO3
_chemical_formula_sum 'Cs12 In4 O12'
_cell_length_a 8.306
_cell_length_b 7.458
_cell_length_c 11.996
_cell_angle_alpha 90.00
_cell_angle_beta 95.61
_cell_angle_gamma 90.00
_symmetry_space_group_name_H-M 'P 1 21/c 1'
_symmetry_Int_Tables_number 14
loop_
_symmetry_equiv_pos_as_xyz
'x,y,z'
'-x,-y,-z'
'-x,y+1/2,-z+1/2'
'x,-y+1/2,z+1/2'
loop_
_atom_site_label
_atom_site_fract_x
_atom_site_fract_y
_atom_site_fract_z
_atom_site_occupancy
Cs1 0.048 0.122 0.156 1
Cs2 0.347 0.168 0.927 1
Cs3 0.375 0.679 0.806 1
In1 0.156 0.583 0.067 1
O1 0.099 0.054 0.409 1
O2 0.246 0.662 0.539 1
O3 0.292 0.057 0.692 1
```

Entry 2:
Density functional theory data (PBE) for a relaxed CsInO2 crystal.

Properties
Total energy after the MP2020 corrections = -0.18817 Ha/atom
Formation energy from the elements = -1.73 eV per atom

Structure (CIF):
```
data_CsInO2
_chemical_formula_sum 'Cs2 In2 O4'
_cell_length_a 3.4728
_cell_length_b 3.4728
_cell_length_c 13.4790
_cell_angle_alpha 90.00
_cell_angle_beta 90.00
_cell_angle_gamma 120.00
_symmetry_space_group_name_H-M 'P 63/m m c'
_symmetry_Int_Tables_number 194
_symmetry_space_group_name_Hall '-P 6c 2c'
loop_
_atom_site_label
_atom_site_fract_x
_atom_site_fract_y
_atom_site_fract_z
_atom_site_occupancy
Cs1 0.3333 0.6667 0.2500 1
In1 0.0000 0.0000 0.0000 1
O1 0.3333 0.6667 0.5825 1
```

Entry 3:
Density functional theory data (PBE) for a relaxed Cs8In2O7 crystal.

Properties
Total energy after the MP2020 corrections = -0.15924 Ha/atom
Formation energy from the elements = -1.55 eV per atom

Structure (CIF):
```
data_Cs8In2O7
_chemical_formula_sum 'Cs16 In4 O14'
_cell_length_a 7.567
_cell_length_b 19.148
_cell_length_c 7.428
_cell_angle_alpha 90.00
_cell_angle_beta 118.90
_cell_angle_gamma 90.00
_symmetry_space_group_name_H-M 'P 1 21/c 1'
_symmetry_Int_Tables_number 14
loop_
_symmetry_equiv_pos_as_xyz
'x,y,z'
'-x,-y,-z'
'-x,y+1/2,-z+1/2'
'x,-y+1/2,z+1/2'
loop_
_atom_site_label
_atom_site_fract_x
_atom_site_fract_y
_atom_site_fract_z
_atom_site_occupancy
Cs1 0.142 0.085 0.495 1
Cs2 0.266 0.706 0.545 1
Cs3 0.268 0.505 0.538 1
Cs4 0.285 0.192 0.050 1
In1 0.353 0.598 0.998 1
O1 0.071 0.598 0.732 1
O2 0.345 0.606 0.277 1
O3 0.458 0.178 0.511 1
O4 0.500 0.000 0.500 1
```

Entry 4:
Density functional theory data (PBE) for a relaxed CsInP4O12 crystal.

Properties
Total energy after the MP2020 corrections = -0.26816 Ha/atom
Formation energy from the elements = -2.59 eV per atom

Structure (CIF):
```
data_CsInP4O12
_chemical_formula_sum 'Cs12 In12 P48 O144'
_cell_length_a 15.192
_cell_length_b 15.192
_cell_length_c 15.192
_cell_angle_alpha 90.00
_cell_angle_beta 90.00
_cell_angle_gamma 90.00
_symmetry_space_group_name_H-M 'P a -3'
_symmetry_Int_Tables_number 205
_symmetry_space_group_name_Hall '-P 2ac 2ab 3'
loop_
_atom_site_label
_atom_site_fract_x
_atom_site_fract_y
_atom_site_fract_z
_atom_site_occupancy
Cs1 0.000 0.000 0.000 1
Cs2 0.159 0.659 0.841 1
In1 0.000 0.000 0.500 1
In2 0.185 0.185 0.185 1
P1 0.019 0.080 0.286 1
P2 0.046 0.229 0.832 1
O1 0.005 0.676 0.179 1
O2 0.012 0.657 0.696 1
O3 0.016 0.139 0.522 1
O4 0.057 0.222 0.939 1
O5 0.079 0.228 0.100 1
O6 0.139 0.240 0.796 1
```

Entry 5:
Density functional theory data (PBE) for a relaxed CsInS2O10 crystal.

Properties
Total energy after the MP2020 corrections = -0.21453 Ha/atom
Formation energy from the elements = -1.45 eV per atom

Structure (CIF):
```
data_CsInS2O10
_chemical_formula_sum 'Cs4 In4 S8 O40'
_cell_length_a 9.363
_cell_length_b 14.883
_cell_length_c 7.098
_cell_angle_alpha 90.00
_cell_angle_beta 106.97
_cell_angle_gamma 90.00
_symmetry_space_group_name_H-M 'C 1 2/c 1'
_symmetry_Int_Tables_number 15
loop_
_symmetry_equiv_pos_as_xyz
'x,y,z'
'-x,-y,-z'
'-x,y,-z+1/2'
'x,-y,z+1/2'
'x+1/2,y+1/2,z'
'-x+1/2,-y+1/2,-z'
'-x+1/2,y+1/2,-z+1/2'
'x+1/2,-y+1/2,z+1/2'
loop_
_atom_site_label
_atom_site_fract_x
_atom_site_fract_y
_atom_site_fract_z
_atom_site_occupancy
Cs1 0.000 0.110 0.250 1
In1 0.000 0.307 0.750 1
S1 0.244 0.356 0.187 1
O1 0.116 0.300 0.066 1
O2 0.116 0.417 0.654 1
O3 0.149 0.210 0.678 1
O4 0.183 0.096 0.941 1
O5 0.197 0.418 0.319 1
```

Entry 6:
Density functional theory data (PBE) for a relaxed CsInSe2O10 crystal.

Properties
Total energy after the MP2020 corrections = -0.19599 Ha/atom
Formation energy from the elements = -1.04 eV per atom

Structure (CIF):
```
data_CsInSe2O10
_chemical_formula_sum 'Cs4 In4 Se8 O40'
_cell_length_a 9.656
_cell_length_b 14.322
_cell_length_c 7.494
_cell_angle_alpha 90.00
_cell_angle_beta 107.25
_cell_angle_gamma 90.00
_symmetry_space_group_name_H-M 'C 1 2/c 1'
_symmetry_Int_Tables_number 15
loop_
_symmetry_equiv_pos_as_xyz
'x,y,z'
'-x,-y,-z'
'-x,y,-z+1/2'
'x,-y,z+1/2'
'x+1/2,y+1/2,z'
'-x+1/2,-y+1/2,-z'
'-x+1/2,y+1/2,-z+1/2'
'x+1/2,-y+1/2,z+1/2'
loop_
_atom_site_label
_atom_site_fract_x
_atom_site_fract_y
_atom_site_fract_z
_atom_site_occupancy
Cs1 0.000 0.114 0.250 1
In1 0.000 0.324 0.750 1
Se1 0.242 0.360 0.180 1
O1 0.097 0.298 0.049 1
O2 0.144 0.218 0.678 1
O3 0.176 0.419 0.736 1
O4 0.178 0.087 0.961 1
O5 0.191 0.431 0.325 1
```